1.
MgCuO2: relaxed, PBE.

The structure in extended XYZ format:
```
16
Lattice="3.190 0.000 0.000 -1.176 7.814 0.000 -1.377 -2.623 7.638" Properties=species:S:1:pos:R:3 pbc="T T T"
Mg 0.000 0.000 0.000
Mg -0.501 0.954 3.058
Mg 0.006 6.238 2.657
Mg 1.565 2.815 0.580
Cu -1.460 5.806 5.263
Cu -0.660 2.727 6.686
Cu 0.519 3.447 3.469
Cu 1.467 0.485 5.565
O -0.916 -0.842 6.794
O -0.986 4.747 3.671
O -0.037 2.447 1.746
O -0.943 4.596 6.626
O 1.083 1.658 4.089
O 0.882 1.644 6.982
O 2.086 -0.676 4.233
O 1.637 7.141 1.770
```

Properties
mass density = 4.18 Mg/m³
M_tot = 0.39 Bohr magnetons per cell
ΔE_f = -1780 meV/atom

2.
CsGdO2: relaxed, PBE.

The structure in extended XYZ format:
```
8
Lattice="3.617 0.000 0.000 -1.808 3.132 0.000 0.000 0.000 13.790" Properties=species:S:1:pos:R:3 pbc="T T T"
Cs 0.000 2.088 3.447
Cs 1.808 1.044 10.342
Gd 0.000 0.000 0.000
Gd 0.000 0.000 6.895
O 0.000 2.088 8.044
O 0.000 2.088 12.641
O 1.808 1.044 1.149
O 1.808 1.044 5.746
```

Properties
mass density = 6.85 Mg/m³
ΔE_f = -2914 meV/atom